(1)
Computed, not measured: a geometry-optimized ZnMoF6 structure at the PBE+U level of DFT.

Cell: 5.6889 5.6889 5.6889 Å, 57.13 57.13 57.13°
Last column: nearest neighbours and their distance in Å.
Atoms (fractional coordinates):
Zn: 0.5000 0.5000 0.5000  6 F 2.05
Mo: 0.0000 0.0000 0.0000  6 F 2.00
F: 0.6627 0.8442 0.2433  1 Mo 2.00, 1 Zn 2.05
F: 0.8442 0.2433 0.6627  1 Mo 2.00, 1 Zn 2.05
F: 0.7567 0.3373 0.1558  1 Mo 2.00, 1 Zn 2.05
F: 0.1558 0.7567 0.3373  1 Mo 2.00, 1 Zn 2.05
F: 0.3373 0.1558 0.7567  1 Mo 2.00, 1 Zn 2.05
F: 0.2433 0.6627 0.8442  1 Mo 2.00, 1 Zn 2.05

Output
The total energy comes out at -39.2 eV/cell. For the energy of formation from the pure elements, the calculation gives -2.70 eV per atom. The space-group type is R-3 (148).



(2)
Computed, not measured: a geometry-optimized NiNF3 structure at the PBE+U level of DFT.

Cell: 3.9288 3.9288 3.9288 Å, 90.00 90.00 90.00°
Last column: nearest neighbours and their distance in Å.
Atoms (fractional coordinates):
Ni: 0.5000 0.5000 0.5000  6 F 1.96
N: 0.0000 0.0000 0.0000  12 F 2.78
F: 0.0000 0.5000 0.5000  2 Ni 1.96
F: 0.5000 0.5000 0.0000  2 Ni 1.96
F: 0.5000 0.0000 0.5000  2 Ni 1.96

Output
For the energy above the lowest structure with this stoichiometry, the calculation gives 27.9 kJ per mole of atoms. For the total magnetization, the calculation gives 2.09 μB/f.u. The total energy comes out at -16.4 eV/cell. For the energy of formation from the pure elements, the calculation gives -0.09 eV per atom. The space-group type is Pm-3m (221).